Record 1
## CaCuAsO5 (PBE-GGA)

Data for an optimized crystal structure of CaCuAsO5.

Values from the calculation:
The energy comes out at -5.94 eV per atom. As for the formation energy: -1933 meV per atom.

Cell: 5.693 7.549 9.687 Å, 90.00 90.00 90.00°
Element x y z (fractional)
Ca (0.018, 0.167, 0.174)
Ca (0.482, 0.833, 0.674)
Ca (0.518, 0.333, 0.826)
Ca (0.982, 0.667, 0.326)
Cu (0.249, 0.748, 0.998)
Cu (0.251, 0.252, 0.498)
Cu (0.749, 0.752, 0.002)
Cu (0.751, 0.248, 0.502)
As (0.020, 0.593, 0.669)
As (0.480, 0.407, 0.169)
As (0.520, 0.907, 0.331)
As (0.980, 0.093, 0.831)
O (0.001, 0.133, 0.423)
O (0.001, 0.910, 0.954)
O (0.091, 0.761, 0.561)
O (0.246, 0.104, 0.751)
O (0.249, 0.432, 0.279)
O (0.251, 0.568, 0.779)
O (0.254, 0.896, 0.251)
O (0.409, 0.239, 0.061)
O (0.499, 0.090, 0.454)
O (0.499, 0.867, 0.923)
O (0.501, 0.367, 0.577)
O (0.501, 0.590, 0.046)
O (0.591, 0.739, 0.439)
O (0.746, 0.396, 0.249)
O (0.749, 0.068, 0.721)
O (0.751, 0.932, 0.221)
O (0.754, 0.604, 0.749)
O (0.909, 0.261, 0.939)
O (0.999, 0.410, 0.546)
O (0.999, 0.633, 0.077)


Record 2
## Li2TiTe3O12 (PBE-GGA)

Data for an optimized crystal structure of Li2TiTe3O12.

Values from the calculation:
The energy comes out at -5.95 eV per atom. The polymorph energy (0 for the lowest one) comes out at 0 meV/atom. As for the formation energy: -1930 meV per atom.

Cell: 7.080 8.521 7.296 Å, 90.00 92.65 90.00°
Element x y z (fractional)
Li (0.000, 0.000, 0.000)
Li (0.000, 0.448, 0.500)
Li (0.266, 0.326, 0.757)
Li (0.734, 0.326, 0.243)
Ti (0.260, 0.249, 0.253)
Ti (0.740, 0.249, 0.747)
Te (0.000, 0.066, 0.500)
Te (0.000, 0.559, 0.000)
Te (0.249, 0.753, 0.750)
Te (0.500, 0.068, 0.000)
Te (0.500, 0.562, 0.500)
Te (0.751, 0.753, 0.250)
O (0.016, 0.735, 0.190)
O (0.053, 0.408, 0.191)
O (0.056, 0.082, 0.247)
O (0.190, 0.235, 0.515)
O (0.196, 0.904, 0.555)
O (0.229, 0.581, 0.557)
O (0.267, 0.580, 0.938)
O (0.294, 0.221, 0.987)
O (0.298, 0.906, 0.945)
O (0.451, 0.406, 0.317)
O (0.453, 0.085, 0.254)
O (0.487, 0.730, 0.308)
O (0.513, 0.730, 0.692)
O (0.547, 0.085, 0.746)
O (0.549, 0.406, 0.683)
O (0.702, 0.906, 0.055)
O (0.706, 0.221, 0.013)
O (0.733, 0.580, 0.062)
O (0.771, 0.581, 0.443)
O (0.804, 0.904, 0.445)
O (0.810, 0.235, 0.485)
O (0.944, 0.082, 0.753)
O (0.947, 0.408, 0.809)
O (0.984, 0.735, 0.810)